1.
# PBE-GGA Ca21Cd4Bi18, relaxed
data_Ca21Cd4Bi18
_chemical_formula_sum 'Ca42 Cd8 Bi36'
_cell_length_a 12.4288
_cell_length_b 12.4288
_cell_length_c 17.7277
_cell_angle_alpha 88.35
_cell_angle_beta 88.35
_cell_angle_gamma 87.43
_space_group_name_H-M_alt 'P 1'
_space_group_IT_number 1
loop_
_space_group_symop_operation_xyz
'x,y,z'
loop_
_atom_site_label
_atom_site_type_symbol
_atom_site_fract_x
_atom_site_fract_y
_atom_site_fract_z
Ca1 Ca 0.7343 0.7343 0.0923
Ca2 Ca 0.2657 0.2657 0.9077
Ca3 Ca 0.7498 0.0768 0.1451
Ca4 Ca 0.2502 0.9232 0.8549
Ca5 Ca 0.9232 0.2502 0.8549
Ca6 Ca 0.0768 0.7498 0.1451
Ca7 Ca 0.4038 0.7401 0.1539
Ca8 Ca 0.5962 0.2599 0.8461
Ca9 Ca 0.2599 0.5962 0.8461
Ca10 Ca 0.7401 0.4038 0.1539
Ca11 Ca 0.7566 0.0729 0.3528
Ca12 Ca 0.2434 0.9271 0.6472
Ca13 Ca 0.9271 0.2434 0.6472
Ca14 Ca 0.0729 0.7566 0.3528
Ca15 Ca 0.5111 0.2579 0.0560
Ca16 Ca 0.4889 0.7421 0.9440
Ca17 Ca 0.7421 0.4889 0.9440
Ca18 Ca 0.2579 0.5111 0.0560
Ca19 Ca 0.2699 0.0032 0.0606
Ca20 Ca 0.7301 0.9968 0.9394
Ca21 Ca 0.9968 0.7301 0.9394
Ca22 Ca 0.0032 0.2699 0.0606
Ca23 Ca 0.4293 0.6775 0.3845
Ca24 Ca 0.5707 0.3225 0.6155
Ca25 Ca 0.3225 0.5707 0.6155
Ca26 Ca 0.6775 0.4293 0.3845
Ca27 Ca 0.7699 0.0077 0.5755
Ca28 Ca 0.2301 0.9923 0.4245
Ca29 Ca 0.9923 0.2301 0.4245
Ca30 Ca 0.0077 0.7699 0.5755
Ca31 Ca 0.4248 0.0702 0.2430
Ca32 Ca 0.5752 0.9298 0.7570
Ca33 Ca 0.9298 0.5752 0.7570
Ca34 Ca 0.0702 0.4248 0.2430
Ca35 Ca 0.4042 0.4042 0.2547
Ca36 Ca 0.5958 0.5958 0.7453
Ca37 Ca 0.5063 0.1814 0.4351
Ca38 Ca 0.4937 0.8186 0.5649
Ca39 Ca 0.8186 0.4937 0.5649
Ca40 Ca 0.1814 0.5063 0.4351
Ca41 Ca 0.7468 0.7468 0.4205
Ca42 Ca 0.2532 0.2532 0.5795
Cd1 Cd 0.8408 0.8408 0.7542
Cd2 Cd 0.1592 0.1592 0.2458
Cd3 Cd 0.9941 0.9941 0.7968
Cd4 Cd 0.0059 0.0059 0.2032
Cd5 Cd 0.6071 0.8538 0.2465
Cd6 Cd 0.3929 0.1462 0.7535
Cd7 Cd 0.1462 0.3929 0.7535
Cd8 Cd 0.8538 0.6071 0.2465
Bi1 Bi 0.7490 0.7490 0.6190
Bi2 Bi 0.2510 0.2510 0.3810
Bi3 Bi 0.5371 0.5371 0.0783
Bi4 Bi 0.4629 0.4629 0.9217
Bi5 Bi 0.8473 0.8473 0.2583
Bi6 Bi 0.1527 0.1527 0.7417
Bi7 Bi 0.5767 0.5767 0.5369
Bi8 Bi 0.4233 0.4233 0.4631
Bi9 Bi 0.2254 0.9152 0.2442
Bi10 Bi 0.7746 0.0848 0.7558
Bi11 Bi 0.0848 0.7746 0.7558
Bi12 Bi 0.9152 0.2254 0.2442
Bi13 Bi 0.5330 0.9291 0.3968
Bi14 Bi 0.4670 0.0709 0.6032
Bi15 Bi 0.0709 0.4670 0.6032
Bi16 Bi 0.9291 0.5330 0.3968
Bi17 Bi 0.7555 0.2445 0.5000
Bi18 Bi 0.2445 0.7555 0.5000
Bi19 Bi 0.9335 0.9335 0.0556
Bi20 Bi 0.0665 0.0665 0.9444
Bi21 Bi 0.2633 0.2633 0.1096
Bi22 Bi 0.7367 0.7367 0.8904
Bi23 Bi 0.7566 0.2434 0.0000
Bi24 Bi 0.2434 0.7566 0.0000
Bi25 Bi 0.5437 0.9427 0.0904
Bi26 Bi 0.4563 0.0573 0.9096
Bi27 Bi 0.0573 0.4563 0.9096
Bi28 Bi 0.9427 0.5437 0.0904
Bi29 Bi 0.6081 0.6081 0.2580
Bi30 Bi 0.3919 0.3919 0.7420
Bi31 Bi 0.9498 0.9498 0.4320
Bi32 Bi 0.0502 0.0502 0.5680
Bi33 Bi 0.6023 0.2399 0.2556
Bi34 Bi 0.3977 0.7601 0.7444
Bi35 Bi 0.7601 0.3977 0.7444
Bi36 Bi 0.2399 0.6023 0.2556
# ΔH_f (0 K) in eV/atom: -0.7722
# Space-group type: No. 12
# Total magnetization in μB/atom: 0.002
# V in Å³/f.u.: 1367


2.
# PBE-GGA CeNbO4, relaxed
data_CeNbO4
_chemical_formula_sum 'Ce2 Nb2 O8'
_cell_length_a 6.7416
_cell_length_b 6.7416
_cell_length_c 5.2033
_cell_angle_alpha 69.87
_cell_angle_beta 69.87
_cell_angle_gamma 115.55
_space_group_name_H-M_alt 'P 1'
_space_group_IT_number 1
loop_
_space_group_symop_operation_xyz
'x,y,z'
loop_
_atom_site_label
_atom_site_type_symbol
_atom_site_fract_x
_atom_site_fract_y
_atom_site_fract_z
Ce1 Ce 0.6307 0.3693 0.2500
Ce2 Ce 0.3693 0.6307 0.7500
Nb1 Nb 0.0995 0.9005 0.2500
Nb2 Nb 0.9005 0.0995 0.7500
O1 O 0.9400 0.3549 0.8494
O2 O 0.6451 0.0600 0.6506
O3 O 0.0600 0.6451 0.1506
O4 O 0.3549 0.9400 0.3494
O5 O 0.7271 0.7901 0.2055
O6 O 0.2099 0.2729 0.2945
O7 O 0.2729 0.2099 0.7945
O8 O 0.7901 0.7271 0.7055
# ΔH_f (0 K) in eV/atom: -3.4692
# Space-group type: No. 15
# V in Å³/f.u.: 81


3.
# PBE-GGA Zr6CoSn2H10, relaxed
data_Zr6CoSn2H10
_chemical_formula_sum 'Zr12 Co2 Sn4 H20'
_cell_length_a 8.1617
_cell_length_b 8.1617
_cell_length_c 7.3615
_cell_angle_alpha 90.00
_cell_angle_beta 90.00
_cell_angle_gamma 120.00
_space_group_name_H-M_alt 'P 1'
_space_group_IT_number 1
loop_
_space_group_symop_operation_xyz
'x,y,z'
loop_
_atom_site_label
_atom_site_type_symbol
_atom_site_fract_x
_atom_site_fract_y
_atom_site_fract_z
Zr1 Zr 0.7447 0.0000 0.0000
Zr2 Zr 0.0000 0.7447 0.0000
Zr3 Zr 0.7447 0.0000 0.5000
Zr4 Zr 0.2553 0.2553 0.0000
Zr5 Zr 0.0000 0.7447 0.5000
Zr6 Zr 0.2553 0.2553 0.5000
Zr7 Zr 0.4182 0.0466 0.2500
Zr8 Zr 0.9534 0.3717 0.2500
Zr9 Zr 0.0466 0.4182 0.7500
Zr10 Zr 0.6283 0.5818 0.2500
Zr11 Zr 0.3717 0.9534 0.7500
Zr12 Zr 0.5818 0.6283 0.7500
Co1 Co 0.0000 0.0000 0.2500
Co2 Co 0.0000 0.0000 0.7500
Sn1 Sn 0.3333 0.6667 0.0413
Sn2 Sn 0.3333 0.6667 0.4587
Sn3 Sn 0.6667 0.3333 0.9587
Sn4 Sn 0.6667 0.3333 0.5413
H1 H 0.2775 0.0000 0.0000
H2 H 0.0000 0.2775 0.0000
H3 H 0.2775 0.0000 0.5000
H4 H 0.7225 0.7225 0.0000
H5 H 0.0000 0.2775 0.5000
H6 H 0.7225 0.7225 0.5000
H7 H 0.4017 0.2933 0.2500
H8 H 0.7067 0.1084 0.2500
H9 H 0.2933 0.4017 0.7500
H10 H 0.8916 0.5983 0.2500
H11 H 0.1084 0.7067 0.7500
H12 H 0.5983 0.8916 0.7500
H13 H 0.1169 0.2346 0.2500
H14 H 0.7654 0.8823 0.2500
H15 H 0.2346 0.1169 0.7500
H16 H 0.1177 0.8831 0.2500
H17 H 0.8823 0.7654 0.7500
H18 H 0.8831 0.1177 0.7500
H19 H 0.0000 0.0000 0.0000
H20 H 0.0000 0.0000 0.5000
# ΔH_f (0 K) in eV/atom: -0.5411
# Space-group type: No. 190
# Total magnetization in μB/atom: 0.000
# V in Å³/f.u.: 212


4.
# PBE-GGA Ce2C2Cl, relaxed
data_Ce2C2Cl
_chemical_formula_sum 'Ce4 C4 Cl2'
_cell_length_a 7.4202
_cell_length_b 7.4202
_cell_length_c 6.5605
_cell_angle_alpha 79.61
_cell_angle_beta 79.61
_cell_angle_gamma 32.57
_space_group_name_H-M_alt 'P 1'
_space_group_IT_number 1
loop_
_space_group_symop_operation_xyz
'x,y,z'
loop_
_atom_site_label
_atom_site_type_symbol
_atom_site_fract_x
_atom_site_fract_y
_atom_site_fract_z
Ce1 Ce 0.8411 0.4613 0.3524
Ce2 Ce 0.5387 0.1589 0.1476
Ce3 Ce 0.1589 0.5387 0.6476
Ce4 Ce 0.4613 0.8411 0.8524
C1 C 0.3506 0.0905 0.4728
C2 C 0.9095 0.6494 0.0272
C3 C 0.6494 0.9095 0.5272
C4 C 0.0905 0.3506 0.9728
Cl1 Cl 0.2106 0.7894 0.2500
Cl2 Cl 0.7894 0.2106 0.7500
# ΔH_f (0 K) in eV/atom: -1.0155
# Space-group type: No. 15
# V in Å³/f.u.: 95


5.
# PBE-GGA TiOF, relaxed
data_TiOF
_chemical_formula_sum 'Ti2 O2 F2'
_cell_length_a 3.0548
_cell_length_b 4.0353
_cell_length_c 6.5060
_cell_angle_alpha 90.00
_cell_angle_beta 90.00
_cell_angle_gamma 90.00
_space_group_name_H-M_alt 'P 1'
_space_group_IT_number 1
loop_
_space_group_symop_operation_xyz
'x,y,z'
loop_
_atom_site_label
_atom_site_type_symbol
_atom_site_fract_x
_atom_site_fract_y
_atom_site_fract_z
Ti1 Ti 0.5000 0.0000 0.6120
Ti2 Ti 0.0000 0.5000 0.3880
O1 O 0.0000 0.0000 0.3981
O2 O 0.5000 0.5000 0.6019
F1 F 0.0000 0.0000 0.8133
F2 F 0.5000 0.5000 0.1867
# ΔH_f (0 K) in eV/atom: -3.3973
# Space-group type: No. 59
# Total magnetization in μB/atom: 0.000
# V in Å³/f.u.: 40


6.
# PBE-GGA UGe2, relaxed
data_UGe2
_chemical_formula_sum 'U2 Ge4'
_cell_length_a 7.7689
_cell_length_b 7.7689
_cell_length_c 3.9782
_cell_angle_alpha 90.00
_cell_angle_beta 90.00
_cell_angle_gamma 148.77
_space_group_name_H-M_alt 'P 1'
_space_group_IT_number 1
loop_
_space_group_symop_operation_xyz
'x,y,z'
loop_
_atom_site_label
_atom_site_type_symbol
_atom_site_fract_x
_atom_site_fract_y
_atom_site_fract_z
U1 U 0.1001 0.8999 0.2500
U2 U 0.8999 0.1001 0.7500
Ge1 Ge 0.4392 0.5608 0.2500
Ge2 Ge 0.5608 0.4392 0.7500
Ge3 Ge 0.2525 0.7475 0.7500
Ge4 Ge 0.7475 0.2525 0.2500
# ΔH_f (0 K) in eV/atom: -0.1857
# Space-group type: No. 63
# Total magnetization in μB/atom: 0.677
# V in Å³/f.u.: 62


7.
# PBE-GGA Na2TaAlSi2SO12, relaxed
data_Na2TaAlSi2SO12
_chemical_formula_sum 'Na12 Ta6 Al6 Si12 S6 O72'
_cell_length_a 8.8053
_cell_length_b 8.8053
_cell_length_c 22.2587
_cell_angle_alpha 88.31
_cell_angle_beta 91.69
_cell_angle_gamma 119.58
_space_group_name_H-M_alt 'P 1'
_space_group_IT_number 1
loop_
_space_group_symop_operation_xyz
'x,y,z'
loop_
_atom_site_label
_atom_site_type_symbol
_atom_site_fract_x
_atom_site_fract_y
_atom_site_fract_z
Na1 Na 0.9886 0.6251 0.2500
Na2 Na 0.3749 0.0114 0.7500
Na3 Na 0.6552 0.9584 0.5834
Na4 Na 0.0416 0.3448 0.0834
Na5 Na 0.3219 0.2918 0.9167
Na6 Na 0.7082 0.6781 0.4167
Na7 Na 0.0119 0.9936 0.4948
Na8 Na 0.0064 0.9881 0.9948
Na9 Na 0.6786 0.3270 0.8281
Na10 Na 0.6730 0.3214 0.3281
Na11 Na 0.3452 0.6603 0.1615
Na12 Na 0.3397 0.6548 0.6615
Ta1 Ta 0.9980 0.0003 0.6453
Ta2 Ta 0.9997 0.0020 0.1453
Ta3 Ta 0.6647 0.3336 0.9786
Ta4 Ta 0.6664 0.3353 0.4786
Ta5 Ta 0.3313 0.6670 0.3120
Ta6 Ta 0.3330 0.6687 0.8120
Al1 Al 0.9685 0.9837 0.3539
Al2 Al 0.0163 0.0315 0.8539
Al3 Al 0.6351 0.3170 0.6873
Al4 Al 0.6830 0.3649 0.1873
Al5 Al 0.3018 0.6503 0.0206
Al6 Al 0.3497 0.6982 0.5206
Si1 Si 0.7081 0.7075 0.2520
Si2 Si 0.9867 0.2779 0.2515
Si3 Si 0.2925 0.2919 0.7520
Si4 Si 0.7221 0.0133 0.7515
Si5 Si 0.3747 0.0408 0.5853
Si6 Si 0.6533 0.6113 0.5848
Si7 Si 0.9592 0.6253 0.0853
Si8 Si 0.3887 0.3467 0.0848
Si9 Si 0.0414 0.3742 0.9186
Si10 Si 0.3200 0.9446 0.9182
Si11 Si 0.6258 0.9586 0.4186
Si12 Si 0.0554 0.6800 0.4182
S1 S 0.2940 0.0104 0.2521
S2 S 0.9896 0.7060 0.7521
S3 S 0.9607 0.3437 0.5854
S4 S 0.6563 0.0393 0.0854
S5 S 0.6274 0.6771 0.9187
S6 S 0.3229 0.3726 0.4187
O1 O 0.2110 0.0277 0.3048
O2 O 0.8303 0.7911 0.3108
O3 O 0.9775 0.1587 0.3084
O4 O 0.2089 0.1697 0.8108
O5 O 0.9723 0.7890 0.8048
O6 O 0.8413 0.0225 0.8084
O7 O 0.7999 0.9733 0.6899
O8 O 0.1639 0.1904 0.6932
O9 O 0.0261 0.8214 0.6965
O10 O 0.8096 0.8361 0.1932
O11 O 0.0267 0.2001 0.1899
O12 O 0.1786 0.9739 0.1965
O13 O 0.8776 0.3610 0.6381
O14 O 0.4970 0.1245 0.6442
O15 O 0.6442 0.4920 0.6418
O16 O 0.8755 0.5030 0.1442
O17 O 0.6390 0.1224 0.1381
O18 O 0.5080 0.3558 0.1418
O19 O 0.4666 0.3066 0.0233
O20 O 0.8305 0.5237 0.0266
O21 O 0.6927 0.1547 0.0298
O22 O 0.4763 0.1695 0.5266
O23 O 0.6934 0.5334 0.5233
O24 O 0.8453 0.3073 0.5298
O25 O 0.5443 0.6944 0.9715
O26 O 0.1637 0.4578 0.9775
O27 O 0.3109 0.8253 0.9751
O28 O 0.5422 0.8363 0.4775
O29 O 0.3056 0.4557 0.4715
O30 O 0.1747 0.6891 0.4751
O31 O 0.1332 0.6400 0.3566
O32 O 0.4972 0.8571 0.3599
O33 O 0.3594 0.4880 0.3631
O34 O 0.1429 0.5028 0.8599
O35 O 0.3600 0.8668 0.8566
O36 O 0.5120 0.6406 0.8631
O37 O 0.0299 0.8504 0.4081
O38 O 0.8158 0.9756 0.4099
O39 O 0.1776 0.1979 0.4095
O40 O 0.0244 0.1842 0.9099
O41 O 0.1496 0.9701 0.9081
O42 O 0.8021 0.8224 0.9095
O43 O 0.9673 0.1735 0.5879
O44 O 0.1812 0.0247 0.5900
O45 O 0.8265 0.8142 0.5912
O46 O 0.9753 0.8188 0.0900
O47 O 0.8265 0.0327 0.0879
O48 O 0.1858 0.1735 0.0912
O49 O 0.6965 0.1837 0.7415
O50 O 0.4825 0.3090 0.7433
O51 O 0.8443 0.5312 0.7429
O52 O 0.6910 0.5175 0.2433
O53 O 0.8163 0.3035 0.2415
O54 O 0.4688 0.1557 0.2429
O55 O 0.6340 0.5068 0.9212
O56 O 0.8479 0.3580 0.9233
O57 O 0.4932 0.1476 0.9245
O58 O 0.6420 0.1521 0.4233
O59 O 0.4932 0.3660 0.4212
O60 O 0.8524 0.5068 0.4245
O61 O 0.3632 0.5170 0.0748
O62 O 0.1492 0.6423 0.0766
O63 O 0.5110 0.8645 0.0762
O64 O 0.3577 0.8508 0.5766
O65 O 0.4830 0.6368 0.5748
O66 O 0.1355 0.4890 0.5762
O67 O 0.3006 0.8402 0.2545
O68 O 0.5145 0.6914 0.2566
O69 O 0.1599 0.4809 0.2578
O70 O 0.3086 0.4855 0.7566
O71 O 0.1598 0.6994 0.7545
O72 O 0.5191 0.8401 0.7578
# ΔH_f (0 K) in eV/atom: -2.8061
# Total magnetization in μB/atom: 0.000
# V in Å³/f.u.: 250


8.
# PBE-GGA Li5CuHO4, relaxed
data_Li5CuHO4
_chemical_formula_sum 'Li40 Cu8 H8 O32'
_cell_length_a 8.7979
_cell_length_b 8.8090
_cell_length_c 10.7935
_cell_angle_alpha 90.00
_cell_angle_beta 90.00
_cell_angle_gamma 90.00
_space_group_name_H-M_alt 'P 1'
_space_group_IT_number 1
loop_
_space_group_symop_operation_xyz
'x,y,z'
loop_
_atom_site_label
_atom_site_type_symbol
_atom_site_fract_x
_atom_site_fract_y
_atom_site_fract_z
Li1 Li 0.5853 0.9716 0.2007
Li2 Li 0.9147 0.9716 0.2007
Li3 Li 0.0702 0.0739 0.4269
Li4 Li 0.4298 0.0739 0.4269
Li5 Li 0.7500 0.0724 0.4463
Li6 Li 0.2500 0.1162 0.9877
Li7 Li 0.5675 0.1146 0.9868
Li8 Li 0.9325 0.1146 0.9868
Li9 Li 0.5752 0.2092 0.6577
Li10 Li 0.9248 0.2092 0.6577
Li11 Li 0.0752 0.2908 0.1577
Li12 Li 0.4248 0.2908 0.1577
Li13 Li 0.0675 0.3854 0.4868
Li14 Li 0.4325 0.3854 0.4868
Li15 Li 0.7500 0.3838 0.4877
Li16 Li 0.2500 0.4276 0.9463
Li17 Li 0.5702 0.4261 0.9269
Li18 Li 0.9298 0.4261 0.9269
Li19 Li 0.0853 0.5284 0.7007
Li20 Li 0.4147 0.5284 0.7007
Li21 Li 0.5853 0.4716 0.2993
Li22 Li 0.9147 0.4716 0.2993
Li23 Li 0.0702 0.5739 0.0731
Li24 Li 0.4298 0.5739 0.0731
Li25 Li 0.7500 0.5724 0.0537
Li26 Li 0.2500 0.6162 0.5123
Li27 Li 0.5675 0.6146 0.5132
Li28 Li 0.9325 0.6146 0.5132
Li29 Li 0.5752 0.7093 0.8423
Li30 Li 0.9248 0.7093 0.8423
Li31 Li 0.0752 0.7907 0.3423
Li32 Li 0.4248 0.7907 0.3423
Li33 Li 0.0675 0.8854 0.0132
Li34 Li 0.4325 0.8854 0.0132
Li35 Li 0.7500 0.8838 0.0123
Li36 Li 0.2500 0.9276 0.5537
Li37 Li 0.9298 0.9261 0.5731
Li38 Li 0.5702 0.9261 0.5731
Li39 Li 0.0853 0.0284 0.7993
Li40 Li 0.4147 0.0284 0.7993
Cu1 Cu 0.2500 0.0157 0.2182
Cu2 Cu 0.2500 0.2135 0.6215
Cu3 Cu 0.7500 0.2865 0.1215
Cu4 Cu 0.7500 0.4843 0.7182
Cu5 Cu 0.2500 0.5157 0.2818
Cu6 Cu 0.2500 0.7135 0.8785
Cu7 Cu 0.7500 0.7865 0.3785
Cu8 Cu 0.7500 0.9843 0.7818
H1 H 0.5967 0.1850 0.3207
H2 H 0.9033 0.1850 0.3207
H3 H 0.0967 0.3150 0.8207
H4 H 0.4033 0.3150 0.8207
H5 H 0.5967 0.6850 0.1793
H6 H 0.9033 0.6850 0.1793
H7 H 0.0967 0.8150 0.6793
H8 H 0.4033 0.8150 0.6793
O1 O 0.7500 0.0657 0.6245
O2 O 0.4128 0.0757 0.1150
O3 O 0.0872 0.0757 0.1150
O4 O 0.4086 0.0669 0.6157
O5 O 0.0914 0.0669 0.6157
O6 O 0.7500 0.0791 0.1067
O7 O 0.0550 0.2366 0.8756
O8 O 0.4450 0.2366 0.8756
O9 O 0.5550 0.2634 0.3756
O10 O 0.9450 0.2634 0.3756
O11 O 0.2500 0.4209 0.6067
O12 O 0.5914 0.4331 0.1157
O13 O 0.9086 0.4331 0.1157
O14 O 0.5872 0.4243 0.6150
O15 O 0.9128 0.4243 0.6150
O16 O 0.2500 0.4343 0.1245
O17 O 0.7500 0.5657 0.8755
O18 O 0.0872 0.5757 0.3850
O19 O 0.4128 0.5757 0.3850
O20 O 0.0914 0.5669 0.8843
O21 O 0.4086 0.5669 0.8843
O22 O 0.7500 0.5791 0.3933
O23 O 0.0550 0.7366 0.6244
O24 O 0.4450 0.7366 0.6244
O25 O 0.5550 0.7634 0.1244
O26 O 0.9450 0.7634 0.1244
O27 O 0.2500 0.9209 0.8933
O28 O 0.9086 0.9331 0.3843
O29 O 0.5914 0.9331 0.3843
O30 O 0.9128 0.9243 0.8850
O31 O 0.5872 0.9243 0.8850
O32 O 0.2500 0.9343 0.3755
# ΔH_f (0 K) in eV/atom: -1.7315
# Space-group type: No. 62
# Total magnetization in μB/atom: 0.091
# V in Å³/f.u.: 105


Q: What is the V in the third record?
A: 212 Å³/f.u.